(1)
Here is BaGe3O8 after structural relaxation from the Materials Project. Energies are from GGA-PBE.

calculated formation energy	-2.025	eV per atom
theoretical density	5.326	Mg/m³
symmetry	C2/c, No. 15
E	-6.1810	eV/atom

Cell and atoms, written as POSCAR:
```
BaGe3O8
1.0
6.6151 -2.4910 0.0000
6.6151 2.4910 0.0000
-2.4413 0.0000 9.1432
Ba Ge O
2 6 16
Direct
0.1440 0.8560 0.7500
0.8560 0.1440 0.2500
0.0000 0.5000 0.0000
0.0408 0.5720 0.3782
0.4280 0.9592 0.1218
0.5000 0.0000 0.5000
0.5720 0.0408 0.8782
0.9592 0.4280 0.6218
0.0570 0.2038 0.0274
0.1654 0.2958 0.8106
0.2038 0.0570 0.5274
0.2384 0.4010 0.5730
0.2924 0.5720 0.3531
0.2958 0.1654 0.3106
0.4010 0.2384 0.0730
0.4280 0.7076 0.1469
0.5720 0.2924 0.8531
0.5990 0.7616 0.9270
0.7042 0.8346 0.6894
0.7076 0.4280 0.6469
0.7616 0.5990 0.4270
0.7962 0.9430 0.4726
0.8346 0.7042 0.1894
0.9430 0.7962 0.9726
```


(2)
Here is Ba9Ge23O57 after structural relaxation from the Materials Project. Energies are from GGA-PBE.

calculated formation energy	-2.330	eV per atom
theoretical density	5.317	Mg/m³
symmetry	Cmc2_1, No. 36
E	-6.4476	eV/atom

Cell and atoms, written as POSCAR:
```
Ba9Ge23O57
1.0
10.2892 -5.9420 0.0000
10.2892 5.9420 0.0000
0.0000 0.0000 19.5065
Ba Ge O
18 46 114
Direct
0.1772 0.4998 0.0000
0.1773 0.8227 0.5000
0.1852 0.5000 0.2102
0.1852 0.8148 0.7102
0.1951 0.5000 0.7920
0.1950 0.8050 0.2920
0.4998 0.1772 0.5000
0.5000 0.1852 0.7102
0.5000 0.1951 0.2920
0.5000 0.8049 0.7920
0.5000 0.8148 0.2102
0.5002 0.8228 0.0000
0.8050 0.1950 0.7920
0.8049 0.5000 0.2920
0.8148 0.1852 0.2102
0.8148 0.5000 0.7102
0.8227 0.1773 0.0000
0.8228 0.5002 0.5000
0.0109 0.6516 0.6121
0.0109 0.8375 0.1121
0.0150 0.6548 0.3710
0.0150 0.8302 0.8710
0.1625 0.3483 0.6121
0.1625 0.9891 0.1121
0.1666 0.1667 0.2391
0.1667 0.1667 0.4898
0.1667 0.1666 0.7391
0.1667 0.1667 0.9898
0.1697 0.3452 0.3710
0.1698 0.9850 0.8710
0.3334 0.4999 0.6176
0.3333 0.6667 0.1179
0.3373 0.5000 0.4092
0.3373 0.6627 0.9093
0.3452 0.1697 0.8710
0.3452 0.9850 0.3710
0.3483 0.1625 0.1121
0.3484 0.9891 0.6121
0.4999 0.3334 0.1176
0.5000 0.3373 0.9092
0.5001 0.4999 0.2644
0.4999 0.5001 0.7644
0.5000 0.6627 0.4092
0.5001 0.6666 0.6176
0.6516 0.0109 0.1121
0.6517 0.8375 0.6121
0.6548 0.0150 0.8710
0.6548 0.8303 0.3710
0.6627 0.3373 0.4093
0.6627 0.5000 0.9092
0.6667 0.3333 0.6179
0.6666 0.5001 0.1176
0.8302 0.0150 0.3710
0.8303 0.6548 0.8710
0.8333 0.8334 0.2391
0.8333 0.8333 0.4898
0.8334 0.8333 0.7391
0.8333 0.8333 0.9898
0.8375 0.0109 0.6121
0.8375 0.6517 0.1121
0.9850 0.1698 0.3710
0.9850 0.3452 0.8710
0.9891 0.1625 0.6121
0.9891 0.3484 0.1121
0.0112 0.2408 0.2961
0.0112 0.2480 0.7961
0.0169 0.2359 0.0461
0.0169 0.2472 0.5461
0.0302 0.5000 0.5792
0.0301 0.9699 0.0792
0.0506 0.5000 0.3325
0.0506 0.9494 0.8325
0.0759 0.1071 0.9311
0.0759 0.3170 0.4311
0.0848 0.0947 0.1832
0.0848 0.3204 0.6833
0.0947 0.0848 0.6832
0.0948 0.3204 0.1832
0.1071 0.0759 0.4311
0.1071 0.3170 0.9311
0.1566 0.6292 0.6484
0.1566 0.7143 0.1484
0.1598 0.6395 0.4044
0.1598 0.7007 0.9044
0.2359 0.0169 0.5461
0.2359 0.2472 0.0461
0.2408 0.0112 0.7961
0.2409 0.2480 0.2961
0.2472 0.0169 0.0461
0.2472 0.2359 0.5461
0.2480 0.0112 0.2961
0.2480 0.2409 0.7961
0.2857 0.3709 0.6484
0.2857 0.8434 0.1484
0.2904 0.5003 0.5250
0.2905 0.7095 0.0247
0.2992 0.3605 0.4045
0.2993 0.8402 0.9044
0.3170 0.0759 0.9311
0.3170 0.1071 0.4311
0.3204 0.0848 0.1833
0.3204 0.0948 0.6832
0.3550 0.5002 0.1001
0.3550 0.6450 0.6000
0.3592 0.5000 0.3146
0.3592 0.6408 0.8146
0.3605 0.8402 0.4044
0.3605 0.2992 0.9045
0.3651 0.5000 0.9312
0.3651 0.6349 0.4313
0.3683 0.5000 0.7113
0.3681 0.6319 0.2116
0.3709 0.2857 0.1484
0.3708 0.8434 0.6484
0.5000 0.0302 0.0792
0.5000 0.0506 0.8325
0.5003 0.2904 0.0250
0.5002 0.3550 0.6001
0.5000 0.3592 0.8146
0.5000 0.3651 0.4312
0.5000 0.3683 0.2113
0.5000 0.6317 0.7113
0.5000 0.6349 0.9312
0.5000 0.6408 0.3146
0.4998 0.6450 0.1001
0.4997 0.7096 0.5250
0.5000 0.9494 0.3325
0.5000 0.9698 0.5792
0.6292 0.1566 0.1484
0.6291 0.7143 0.6484
0.6319 0.3681 0.7116
0.6317 0.5000 0.2113
0.6349 0.3651 0.9313
0.6349 0.5000 0.4312
0.6395 0.7008 0.4045
0.6395 0.1598 0.9044
0.6408 0.3592 0.3146
0.6408 0.5000 0.8146
0.6450 0.3550 0.1000
0.6450 0.4998 0.6001
0.6796 0.9052 0.1832
0.6796 0.9152 0.6833
0.6830 0.8929 0.9311
0.6830 0.9241 0.4311
0.7007 0.1598 0.4044
0.7008 0.6395 0.9045
0.7095 0.2905 0.5247
0.7096 0.4997 0.0250
0.7143 0.1566 0.6484
0.7143 0.6291 0.1484
0.7520 0.7591 0.2961
0.7520 0.9888 0.7961
0.7528 0.7641 0.0461
0.7528 0.9831 0.5461
0.7591 0.7520 0.7961
0.7592 0.9888 0.2961
0.7641 0.7528 0.5461
0.7641 0.9831 0.0461
0.8402 0.2993 0.4044
0.8402 0.3605 0.9044
0.8434 0.2857 0.6484
0.8434 0.3708 0.1484
0.8929 0.6830 0.4311
0.8929 0.9241 0.9311
0.9052 0.6796 0.6832
0.9053 0.9152 0.1832
0.9152 0.6796 0.1833
0.9152 0.9053 0.6832
0.9241 0.6830 0.9311
0.9241 0.8929 0.4311
0.9494 0.0506 0.3325
0.9494 0.5000 0.8325
0.9699 0.0301 0.5792
0.9698 0.5000 0.0792
0.9831 0.7528 0.0461
0.9831 0.7641 0.5461
0.9888 0.7520 0.2961
0.9888 0.7592 0.7961
```


(3)
Here is Ba2GeO4 after structural relaxation from the Materials Project. Energies are from GGA-PBE.

calculated formation energy	-2.830	eV per atom
theoretical density	4.774	Mg/m³
symmetry	P2_1/c, No. 14
E	-6.4732	eV/atom

Cell and atoms, written as POSCAR:
```
Ba2GeO4
1.0
9.2526 0.0000 0.0000
0.0000 11.1597 0.0000
-0.8677 0.0000 11.0846
Ba Ge O
16 8 32
Direct
0.0878 0.0716 0.2943
0.0878 0.4284 0.7943
0.1807 0.0789 0.9278
0.1807 0.4211 0.4278
0.3412 0.0846 0.5898
0.3412 0.4154 0.0898
0.3688 0.7088 0.5770
0.3688 0.7912 0.0770
0.6312 0.2088 0.9230
0.6312 0.2912 0.4230
0.6588 0.5846 0.9102
0.6588 0.9154 0.4102
0.8193 0.5789 0.5722
0.8193 0.9211 0.0722
0.9122 0.5716 0.2057
0.9122 0.9284 0.7057
0.0267 0.7028 0.9281
0.0267 0.7972 0.4281
0.4557 0.0773 0.2012
0.4557 0.4227 0.7012
0.5443 0.5773 0.2988
0.5443 0.9227 0.7988
0.9733 0.2028 0.5719
0.9733 0.2972 0.0719
0.0461 0.1422 0.7128
0.0461 0.3578 0.2128
0.0764 0.6429 0.4153
0.0764 0.8571 0.9153
0.1248 0.2025 0.4807
0.1248 0.2975 0.9807
0.1687 0.6140 0.9986
0.1687 0.8860 0.4986
0.2841 0.0159 0.1467
0.2841 0.4841 0.6467
0.4180 0.0402 0.8241
0.4180 0.4598 0.3241
0.4560 0.1014 0.3610
0.4560 0.3986 0.8610
0.4956 0.2114 0.1247
0.4956 0.2886 0.6247
0.5044 0.7114 0.3753
0.5044 0.7886 0.8753
0.5440 0.6014 0.1390
0.5440 0.8986 0.6390
0.5820 0.5402 0.6759
0.5820 0.9598 0.1759
0.7159 0.5159 0.3533
0.7159 0.9841 0.8533
0.8313 0.1140 0.5014
0.8313 0.3860 0.0014
0.8752 0.7025 0.0193
0.8752 0.7975 0.5193
0.9236 0.1429 0.0847
0.9236 0.3571 0.5847
0.9539 0.6422 0.7872
0.9539 0.8578 0.2872
```


(4)
Here is Ba10Ge7O3 after structural relaxation from the Materials Project. Energies are from GGA-PBE.

calculated formation energy	-1.219	eV per atom
theoretical density	5.030	Mg/m³
symmetry	P-6m2, No. 187
E	-4.4358	eV/atom

Cell and atoms, written as POSCAR:
```
Ba10Ge7O3
1.0
12.0804 0.0000 0.0000
-6.0402 10.4619 0.0000
0.0000 0.0000 5.0407
Ba Ge O
10 7 3
Direct
0.0000 0.0000 0.0000
0.0060 0.5030 0.5000
0.2073 0.4145 0.0000
0.2073 0.7927 0.0000
0.4169 0.2085 0.0000
0.4970 0.5030 0.5000
0.4970 0.9940 0.5000
0.5855 0.7927 0.0000
0.7915 0.2085 0.0000
0.7915 0.5831 0.0000
0.2109 0.0007 0.5000
0.2109 0.2102 0.5000
0.3333 0.6667 0.5000
0.7898 0.0007 0.5000
0.7898 0.7891 0.5000
0.9993 0.2102 0.5000
0.9993 0.7891 0.5000
0.5373 0.0747 0.0000
0.5373 0.4627 0.0000
0.9253 0.4627 0.0000
```


(5)
Here is Ba2GeO4 after structural relaxation from the Materials Project. Energies are from GGA-PBE.

calculated formation energy	-2.855	eV per atom
theoretical density	5.426	Mg/m³
symmetry	Pna2_1, No. 33
E	-6.4990	eV/atom

Cell and atoms, written as POSCAR:
```
Ba2GeO4
1.0
15.3447 0.0000 0.0000
0.0000 6.2037 0.0000
0.0000 0.0000 10.5770
Ba Ge O
16 8 32
Direct
0.0424 0.2307 0.0000
0.1202 0.2063 0.6270
0.1302 0.7260 0.2258
0.2055 0.7117 0.8506
0.2945 0.2117 0.3506
0.3698 0.2260 0.7258
0.3798 0.7063 0.1270
0.4576 0.7307 0.5000
0.5424 0.2693 0.0000
0.6202 0.2937 0.6270
0.6302 0.7740 0.2258
0.7055 0.7883 0.8506
0.7945 0.2883 0.3506
0.8698 0.2740 0.7258
0.8798 0.7937 0.1270
0.9576 0.7693 0.5000
0.0194 0.2714 0.3421
0.2367 0.7224 0.5094
0.2633 0.2224 0.0094
0.4806 0.7714 0.8421
0.5194 0.2286 0.3421
0.7367 0.7776 0.5094
0.7633 0.2776 0.0094
0.9806 0.7286 0.8421
0.0045 0.0486 0.2374
0.0276 0.4900 0.7743
0.0390 0.7821 0.9858
0.1278 0.8095 0.4824
0.1308 0.3237 0.3761
0.2074 0.1542 0.8656
0.2072 0.4607 0.0648
0.2485 0.5125 0.6227
0.2515 0.0125 0.1227
0.2926 0.6542 0.3656
0.2928 0.9607 0.5648
0.3692 0.8237 0.8761
0.3722 0.3095 0.9824
0.4610 0.2821 0.4858
0.4724 0.9900 0.2743
0.4955 0.5486 0.7374
0.5045 0.4514 0.2374
0.5276 0.0100 0.7743
0.5390 0.7179 0.9858
0.6278 0.6905 0.4824
0.6308 0.1763 0.3761
0.7072 0.0393 0.0648
0.7074 0.3458 0.8656
0.7485 0.9875 0.6227
0.7515 0.4875 0.1227
0.7928 0.5393 0.5648
0.7926 0.8458 0.3656
0.8692 0.6763 0.8761
0.8722 0.1905 0.9824
0.9610 0.2179 0.4858
0.9724 0.5100 0.2743
0.9955 0.9514 0.7374
```